A plane-wave DFT calculation with PBE+U was carried out for a relaxed LiVTeW2O12 crystal.

Calculated values
**Largest piezoelectric modulus**: 5.85 C/m2
**Total DFT energy (no corrections)**: -114.799 eV for the cell shown
**Formation enthalpy at 0 K**: -2011 meV per atom

Cell lengths 5.1516, 5.3461, 7.4761 Å; angles 86.99, 89.81, 89.51 degrees
Last column: nearest neighbours and their distance in Å.
Space group P1 (No. 1)
Unique sites:
Li (0.0000, 0.0000, 0.0000) x1  3 O 1.98-2.02
V (0.0055, 0.5615, 0.8022) x1  3 O 1.73-1.81
Te (0.4968, 0.0268, 0.2696) x1  6 O 1.92-1.95
W (0.0029, 0.5231, 0.2998) x1  4 O 1.78-1.96
W (0.5011, 0.0612, 0.7617) x1  4 O 1.80-1.98
O (0.0998, 0.5273, 0.5285) x1  1 W 1.78
O (0.1896, 0.8359, 0.2126) x1  1 Te 1.95, 1 W 2.01, 1 Li 2.02
O (0.1944, 0.2240, 0.8291) x1  1 W 1.88, 1 Li 1.98, 1 V 2.04
O (0.2845, 0.7354, 0.8254) x1  1 V 1.73
O (0.2988, 0.3288, 0.2165) x1  1 Te 1.93, 1 W 1.96
O (0.3909, 0.0273, 0.5181) x1  1 W 1.93, 1 Te 1.93
O (0.6188, 0.0250, 0.0257) x1  1 Te 1.93, 1 Li 1.98, 1 W 2.07
O (0.6938, 0.7265, 0.3286) x1  1 Te 1.92, 1 W 1.94
O (0.7038, 0.3310, 0.7257) x1  1 W 1.80
O (0.7941, 0.8241, 0.7390) x1  1 V 1.81, 1 W 1.98
O (0.7989, 0.2241, 0.3263) x1  1 W 1.92, 1 Te 1.95
O (0.9093, 0.5338, 0.0257) x1  1 V 1.74